(1)
A plane-wave DFT calculation with PBE was carried out for Sm9Ga5S21 after structural relaxation.

Structure (POSCAR):
```
Sm9Ga5S21
1.0
-4.947 8.568 -6.150
-9.893 0.000 6.150
4.947 8.568 6.150
Sm Ga S
18 10 42
direct
0.259 0.115 0.879
0.918 0.458 0.227
0.602 0.773 0.550
0.450 0.398 0.773
0.121 0.741 0.115
0.773 0.082 0.458
0.542 0.227 0.082
0.227 0.550 0.398
0.885 0.879 0.741
0.417 0.209 0.438
0.069 0.554 0.784
0.752 0.872 0.104
0.216 0.931 0.554
0.896 0.248 0.872
0.562 0.583 0.209
0.128 0.104 0.248
0.791 0.438 0.583
0.446 0.784 0.931
0.950 0.724 0.391
0.609 0.050 0.724
0.276 0.391 0.050
0.449 0.886 0.227
0.114 0.227 0.551
0.773 0.551 0.886
0.144 0.856 0.856
0.846 0.154 0.154
0.347 0.653 0.653
0.644 0.356 0.356
0.987 0.542 0.449
0.642 0.870 0.783
0.304 0.206 0.105
0.895 0.696 0.206
0.551 0.013 0.542
0.217 0.358 0.870
0.130 0.783 0.358
0.794 0.105 0.696
0.458 0.449 0.013
0.522 0.968 0.068
0.188 0.299 0.388
0.841 0.631 0.722
0.612 0.812 0.299
0.278 0.159 0.631
0.932 0.478 0.968
0.369 0.722 0.159
0.032 0.068 0.478
0.701 0.388 0.812
0.824 0.847 0.509
0.491 0.176 0.847
0.153 0.509 0.176
0.653 0.678 0.008
0.322 0.008 0.347
0.992 0.347 0.678
0.690 0.558 0.407
0.335 0.897 0.759
0.006 0.240 0.095
0.905 0.994 0.240
0.593 0.310 0.558
0.241 0.665 0.897
0.103 0.759 0.665
0.760 0.095 0.994
0.442 0.407 0.310
0.619 0.150 0.289
0.273 0.480 0.622
0.960 0.791 0.945
0.378 0.727 0.480
0.055 0.040 0.791
0.711 0.381 0.150
0.209 0.945 0.040
0.850 0.289 0.381
0.520 0.622 0.727
```

=====

(2)
Sr8Ga16S31, optimized geometry, DFT PBE; energy above the lowest structure with this stoichiometry = 0 meV/atom
1.0
-2.132 7.642 -8.982
-6.434 -10.210 0.577
-3.009 6.208 10.129
Sr Ga S
8 16 31
direct
0.126 0.876 0.248
0.625 0.878 0.246
0.375 0.617 0.749
0.122 0.373 0.250
0.877 0.626 0.750
0.623 0.371 0.249
0.376 0.133 0.751
0.873 0.125 0.752
0.378 0.969 0.995
0.389 0.862 0.500
0.136 0.613 0.999
0.033 0.641 0.502
0.859 0.891 0.998
0.889 0.863 0.500
0.532 0.639 0.500
0.640 0.533 0.000
0.360 0.468 0.001
0.469 0.361 0.501
0.109 0.136 0.499
0.137 0.107 0.998
0.969 0.362 0.502
0.862 0.385 0.998
0.610 0.137 0.502
0.610 0.024 0.990
0.165 0.815 0.996
0.418 0.918 0.338
0.191 0.847 0.506
0.080 0.581 0.162
0.686 0.843 0.498
0.918 0.918 0.336
0.350 0.660 0.503
0.088 0.586 0.667
0.843 0.691 0.999
0.650 0.849 0.992
0.917 0.918 0.835
0.583 0.583 0.164
0.340 0.649 0.999
0.583 0.583 0.664
0.150 0.340 0.499
0.849 0.659 0.500
0.417 0.417 0.336
0.658 0.350 0.999
0.416 0.417 0.836
0.080 0.080 0.161
0.341 0.144 0.993
0.156 0.309 0.001
0.920 0.421 0.338
0.652 0.342 0.503
0.081 0.082 0.663
0.313 0.157 0.500
0.589 0.090 0.182
0.918 0.418 0.836
0.814 0.159 0.503
0.580 0.080 0.665
0.829 0.180 0.997

=====

(3)
A plane-wave DFT calculation with PBE was carried out for Tb9Ga5S21 after structural relaxation.

Structure (POSCAR):
```
Tb9Ga5S21
1.0
7.776 -8.455 0.000
7.776 8.455 0.000
-1.418 0.000 11.399
Tb Ga S
18 10 42
direct
0.258 0.120 0.885
0.919 0.775 0.543
0.598 0.451 0.223
0.451 0.223 0.598
0.120 0.885 0.258
0.775 0.543 0.919
0.543 0.919 0.775
0.223 0.598 0.451
0.885 0.258 0.120
0.416 0.559 0.790
0.071 0.216 0.449
0.751 0.893 0.126
0.216 0.449 0.071
0.893 0.126 0.751
0.559 0.790 0.416
0.126 0.751 0.893
0.790 0.416 0.559
0.449 0.071 0.216
0.946 0.609 0.277
0.609 0.277 0.946
0.277 0.946 0.609
0.446 0.775 0.112
0.112 0.446 0.775
0.775 0.112 0.446
0.143 0.143 0.143
0.842 0.842 0.842
0.342 0.342 0.342
0.643 0.643 0.643
0.984 0.552 0.461
0.643 0.219 0.130
0.306 0.893 0.797
0.893 0.797 0.306
0.552 0.461 0.984
0.219 0.130 0.643
0.130 0.643 0.219
0.797 0.306 0.893
0.461 0.984 0.552
0.524 0.936 0.033
0.188 0.611 0.701
0.845 0.279 0.368
0.611 0.701 0.188
0.279 0.368 0.845
0.936 0.033 0.524
0.368 0.845 0.279
0.033 0.524 0.936
0.701 0.188 0.611
0.822 0.487 0.153
0.487 0.153 0.822
0.153 0.822 0.487
0.653 0.987 0.321
0.321 0.653 0.987
0.987 0.321 0.653
0.691 0.594 0.440
0.337 0.243 0.104
0.008 0.906 0.761
0.906 0.761 0.008
0.594 0.440 0.691
0.243 0.104 0.337
0.104 0.337 0.243
0.761 0.008 0.906
0.440 0.691 0.594
0.619 0.713 0.852
0.276 0.378 0.523
0.959 0.055 0.210
0.378 0.523 0.276
0.055 0.210 0.959
0.713 0.852 0.619
0.210 0.959 0.055
0.852 0.619 0.713
0.523 0.276 0.378
```

=====

(4)
A plane-wave DFT calculation with PBE was carried out for Ti4GaS8 after structural relaxation.

Structure (POSCAR):
```
Ti4GaS8
1.0
2.270 -5.414 3.905
-3.519 -1.871 5.817
-3.650 -6.032 0.126
Ti Ga S
4 1 8
direct
0.612 0.612 0.165
0.612 0.165 0.612
0.165 0.612 0.612
0.612 0.612 0.612
0.000 0.000 0.000
0.374 0.374 0.879
0.374 0.879 0.374
0.879 0.374 0.374
0.374 0.374 0.374
0.867 0.867 0.400
0.867 0.400 0.867
0.400 0.867 0.867
0.867 0.867 0.867
```

=====

(5)
A plane-wave DFT calculation with PBE was carried out for Ti24Ga5S48 after structural relaxation.

Structure (POSCAR):
```
Ti24Ga5S48
1.0
5.790 0.000 4.094
0.015 42.478 73.678
0.003 0.000 12.279
Ti Ga S
48 10 96
direct
0.145 0.000 0.626
0.626 0.038 0.146
0.603 0.000 0.626
0.148 0.082 0.625
0.611 0.120 0.167
0.619 0.041 0.638
0.624 0.082 0.625
0.148 0.168 0.603
0.619 0.209 0.124
0.611 0.130 0.611
0.624 0.168 0.603
0.146 0.250 0.626
0.625 0.288 0.147
0.626 0.212 0.602
0.603 0.250 0.626
0.147 0.332 0.624
0.611 0.370 0.167
0.619 0.290 0.639
0.625 0.332 0.624
0.165 0.417 0.612
0.612 0.454 0.165
0.611 0.379 0.613
0.612 0.417 0.612
0.164 0.500 0.612
0.613 0.537 0.163
0.612 0.463 0.611
0.611 0.500 0.612
0.162 0.583 0.612
0.613 0.621 0.162
0.613 0.546 0.612
0.612 0.583 0.612
0.163 0.667 0.613
0.612 0.704 0.163
0.612 0.629 0.612
0.612 0.667 0.613
0.164 0.750 0.613
0.613 0.713 0.612
0.612 0.787 0.164
0.611 0.750 0.613
0.165 0.833 0.611
0.612 0.871 0.164
0.612 0.796 0.612
0.612 0.833 0.611
0.147 0.918 0.604
0.619 0.960 0.123
0.611 0.880 0.612
0.625 0.918 0.604
0.625 0.962 0.603
0.001 0.084 0.997
0.001 0.166 0.002
0.000 0.334 0.995
0.001 0.417 0.996
0.000 0.500 0.001
0.000 0.583 0.000
0.000 0.667 0.000
0.000 0.750 0.999
0.001 0.833 0.002
0.000 0.916 0.005
0.374 0.000 0.381
0.381 0.041 0.372
0.379 0.083 0.382
0.865 0.000 0.381
0.390 0.000 0.868
0.870 0.039 0.395
0.377 0.123 0.386
0.377 0.042 0.871
0.873 0.000 0.868
0.379 0.167 0.373
0.866 0.083 0.382
0.398 0.084 0.865
0.868 0.044 0.865
0.864 0.123 0.399
0.377 0.127 0.861
0.377 0.208 0.376
0.865 0.084 0.865
0.374 0.250 0.381
0.866 0.167 0.373
0.398 0.166 0.871
0.381 0.291 0.372
0.864 0.127 0.872
0.868 0.206 0.398
0.381 0.209 0.865
0.865 0.166 0.871
0.380 0.333 0.382
0.865 0.250 0.381
0.390 0.250 0.868
0.377 0.373 0.385
0.870 0.211 0.864
0.871 0.289 0.394
0.377 0.292 0.871
0.873 0.250 0.868
0.375 0.417 0.375
0.866 0.333 0.381
0.397 0.334 0.865
0.375 0.458 0.375
0.868 0.294 0.865
0.374 0.375 0.876
0.865 0.373 0.396
0.866 0.334 0.865
0.375 0.500 0.375
0.875 0.417 0.375
0.400 0.417 0.866
0.375 0.542 0.374
0.867 0.455 0.400
0.866 0.378 0.866
0.375 0.458 0.874
0.867 0.417 0.866
0.375 0.583 0.375
0.874 0.500 0.375
0.400 0.500 0.867
0.375 0.625 0.375
0.866 0.461 0.866
0.867 0.539 0.400
0.375 0.542 0.874
0.867 0.500 0.867
0.375 0.667 0.375
0.874 0.583 0.375
0.399 0.583 0.867
0.867 0.544 0.867
0.376 0.708 0.375
0.867 0.622 0.399
0.376 0.625 0.874
0.867 0.583 0.867
0.375 0.750 0.376
0.874 0.667 0.375
0.399 0.667 0.867
0.375 0.708 0.875
0.867 0.628 0.867
0.867 0.706 0.399
0.375 0.792 0.375
0.867 0.667 0.867
0.375 0.833 0.375
0.874 0.750 0.376
0.400 0.750 0.867
0.867 0.711 0.866
0.866 0.789 0.401
0.375 0.792 0.874
0.374 0.875 0.375
0.867 0.750 0.867
0.380 0.917 0.373
0.875 0.833 0.375
0.400 0.833 0.867
0.377 0.877 0.861
0.867 0.794 0.866
0.866 0.872 0.402
0.377 0.958 0.376
0.867 0.833 0.867
0.866 0.917 0.373
0.397 0.916 0.872
0.866 0.877 0.873
0.868 0.956 0.398
0.381 0.959 0.865
0.866 0.916 0.872
0.871 0.961 0.864
```

=====

(6)
A plane-wave DFT calculation with PBE was carried out for Ti2V2GaS8 after structural relaxation.

Structure (POSCAR):
```
Ti2V2GaS8
1.0
2.779 0.223 6.444
-6.435 0.079 2.808
1.871 -5.101 -4.447
Ti V Ga S
2 2 1 8
direct
0.619 0.392 0.226
0.166 0.392 0.774
0.611 0.393 0.782
0.611 0.829 0.218
0.003 0.003 0.000
0.374 0.622 0.249
0.374 0.125 0.751
0.374 0.627 0.747
0.880 0.627 0.253
0.862 0.126 0.263
0.862 0.599 0.737
0.858 0.133 0.725
0.408 0.133 0.275
```

=====

| no. | DFT total energy (eV/atom) |
| --- | --- |
| 1 | -5.687 |
| 2 | -4.604 |
| 3 | -5.657 |
| 4 | -6.445 |
| 5 | -6.477 |
| 6 | -6.467 |